No. 1
Entry from the Materials Project: an optimized crystal structure of Li9Mn2Co5O16 (PBE+U).

Energy above the most stable polymorph in this dataset = 33 meV/atom
Space group = P1
ΔE_f = -1.83 eV per atom

Lattice parameters (Å, degrees): 5.936 6.543 7.711 89.77 81.01 76.66
Atoms (fractional coordinates):
1 Li 0.000 0.000 0.000
2 Li 0.002 0.499 0.494
3 Li 0.128 0.866 0.612
4 Li 0.246 0.747 0.248
5 Li 0.379 0.621 0.867
6 Li 0.509 0.493 0.484
7 Li 0.625 0.367 0.117
8 Li 0.759 0.250 0.736
9 Li 0.879 0.130 0.372
10 Mn 0.637 0.869 0.615
11 Mn 0.884 0.623 0.863
12 Co 0.128 0.376 0.126
13 Co 0.245 0.252 0.735
14 Co 0.370 0.123 0.364
15 Co 0.503 0.995 0.991
16 Co 0.758 0.738 0.248
17 O 0.049 0.683 0.050
18 O 0.085 0.184 0.563
19 O 0.171 0.559 0.700
20 O 0.191 0.065 0.188
21 O 0.309 0.426 0.293
22 O 0.352 0.938 0.800
23 O 0.429 0.285 0.930
24 O 0.455 0.815 0.439
25 O 0.558 0.168 0.554
26 O 0.589 0.699 0.038
27 O 0.670 0.043 0.176
28 O 0.698 0.581 0.686
29 O 0.814 0.450 0.293
30 O 0.820 0.914 0.793
31 O 0.910 0.819 0.438
32 O 0.945 0.331 0.929

No. 2
Entry from the Materials Project: an optimized crystal structure of Na2CrCSO7 (PBE+U).

Space group = P2_1/m
ΔE_f = -2.06 eV per atom

Lattice parameters (Å, degrees): 5.211 7.237 8.941 90.00 92.22 90.00
Atoms (fractional coordinates):
1 Na 0.233 0.001 0.289
2 Na 0.233 0.499 0.289
3 Na 0.767 0.501 0.711
4 Na 0.767 0.999 0.711
5 Cr 0.225 0.750 0.861
6 Cr 0.775 0.250 0.139
7 C 0.278 0.750 0.584
8 C 0.722 0.250 0.416
9 S 0.269 0.250 0.910
10 S 0.731 0.750 0.090
11 O 0.053 0.750 0.647
12 O 0.156 0.250 0.063
13 O 0.188 0.082 0.827
14 O 0.188 0.418 0.827
15 O 0.303 0.750 0.444
16 O 0.441 0.750 0.067
17 O 0.476 0.750 0.682
18 O 0.524 0.250 0.318
19 O 0.559 0.250 0.933
20 O 0.697 0.250 0.556
21 O 0.812 0.582 0.173
22 O 0.812 0.918 0.173
23 O 0.844 0.750 0.937
24 O 0.947 0.250 0.353

No. 3
Entry from the Materials Project: an optimized crystal structure of NiB6H16O18 (PBE+U).

Space group = P2_1/c
ΔE_f = -1.83 eV per atom

Lattice parameters (Å, degrees): 9.020 7.216 21.852 90.00 99.65 90.00
Atoms (fractional coordinates):
1 Ni 0.137 0.103 0.395
2 Ni 0.137 0.397 0.895
3 Ni 0.863 0.603 0.105
4 Ni 0.863 0.897 0.605
5 B 0.086 0.063 0.178
6 B 0.086 0.437 0.678
7 B 0.107 0.600 0.579
8 B 0.107 0.900 0.079
9 B 0.174 0.734 0.187
10 B 0.174 0.766 0.687
11 B 0.307 0.607 0.512
12 B 0.307 0.893 0.012
13 B 0.345 0.675 0.102
14 B 0.345 0.825 0.602
15 B 0.439 0.633 0.212
16 B 0.439 0.867 0.712
17 B 0.561 0.133 0.288
18 B 0.561 0.367 0.788
19 B 0.655 0.175 0.398
20 B 0.655 0.325 0.898
21 B 0.693 0.107 0.988
22 B 0.693 0.393 0.488
23 B 0.826 0.234 0.313
24 B 0.826 0.266 0.813
25 B 0.893 0.100 0.921
26 B 0.893 0.400 0.421
27 B 0.914 0.563 0.322
28 B 0.914 0.937 0.822
29 H 0.007 0.738 0.916
30 H 0.007 0.762 0.416
31 H 0.042 0.639 0.980
32 H 0.042 0.861 0.480
33 H 0.057 0.214 0.251
34 H 0.057 0.286 0.751
35 H 0.071 0.023 0.690
36 H 0.071 0.477 0.190
37 H 0.096 0.137 0.976
38 H 0.096 0.363 0.476
39 H 0.186 0.039 0.582
40 H 0.186 0.461 0.082
41 H 0.188 0.633 0.806
42 H 0.188 0.867 0.306
43 H 0.265 0.087 0.886
44 H 0.265 0.413 0.386
45 H 0.318 0.062 0.508
46 H 0.318 0.438 0.008
47 H 0.333 0.657 0.859
48 H 0.333 0.843 0.359
49 H 0.342 0.235 0.849
50 H 0.342 0.265 0.349
51 H 0.355 0.043 0.252
52 H 0.355 0.457 0.752
53 H 0.412 0.167 0.462
54 H 0.412 0.333 0.962
55 H 0.416 0.195 0.608
56 H 0.416 0.305 0.108
57 H 0.419 0.612 0.438
58 H 0.419 0.888 0.938
59 H 0.478 0.146 0.157
60 H 0.478 0.354 0.657
61 H 0.522 0.646 0.343
62 H 0.522 0.854 0.843
63 H 0.581 0.112 0.062
64 H 0.581 0.388 0.562
65 H 0.584 0.695 0.892
66 H 0.584 0.805 0.392
67 H 0.588 0.667 0.038
68 H 0.588 0.833 0.538
69 H 0.645 0.543 0.248
70 H 0.645 0.957 0.748
71 H 0.658 0.735 0.651
72 H 0.658 0.765 0.151
73 H 0.667 0.157 0.641
74 H 0.667 0.343 0.141
75 H 0.682 0.562 0.992
76 H 0.682 0.938 0.492
77 H 0.735 0.587 0.614
78 H 0.735 0.913 0.114
79 H 0.812 0.133 0.694
80 H 0.812 0.367 0.194
81 H 0.814 0.539 0.918
82 H 0.814 0.961 0.418
83 H 0.904 0.637 0.524
84 H 0.904 0.863 0.024
85 H 0.929 0.523 0.810
86 H 0.929 0.977 0.310
87 H 0.943 0.714 0.249
88 H 0.943 0.786 0.749
89 H 0.958 0.139 0.520
90 H 0.958 0.361 0.020
91 H 0.993 0.238 0.584
92 H 0.993 0.262 0.084
93 O 0.018 0.611 0.936
94 O 0.018 0.889 0.436
95 O 0.026 0.215 0.947
96 O 0.026 0.285 0.447
97 O 0.042 0.607 0.179
98 O 0.042 0.893 0.679
99 O 0.060 0.229 0.206
100 O 0.060 0.271 0.706
101 O 0.064 0.060 0.114
102 O 0.064 0.440 0.614
103 O 0.134 0.589 0.713
104 O 0.134 0.911 0.213
105 O 0.179 0.533 0.529
106 O 0.179 0.967 0.029
107 O 0.214 0.722 0.622
108 O 0.214 0.778 0.122
109 O 0.243 0.185 0.854
110 O 0.243 0.315 0.354
111 O 0.243 0.581 0.844
112 O 0.243 0.919 0.344
113 O 0.293 0.015 0.582
114 O 0.293 0.485 0.082
115 O 0.299 0.652 0.226
116 O 0.299 0.848 0.726
117 O 0.325 0.087 0.463
118 O 0.325 0.413 0.963
119 O 0.339 0.548 0.456
120 O 0.339 0.952 0.956
121 O 0.395 0.730 0.550
122 O 0.395 0.770 0.050
123 O 0.450 0.078 0.239
124 O 0.450 0.422 0.739
125 O 0.470 0.665 0.154
126 O 0.470 0.835 0.654
127 O 0.499 0.213 0.120
128 O 0.499 0.287 0.620
129 O 0.501 0.713 0.380
130 O 0.501 0.787 0.880
131 O 0.530 0.165 0.346
132 O 0.530 0.335 0.846
133 O 0.550 0.578 0.261
134 O 0.550 0.922 0.761
135 O 0.605 0.230 0.950
136 O 0.605 0.270 0.450
137 O 0.661 0.048 0.044
138 O 0.661 0.452 0.544
139 O 0.675 0.587 0.037
140 O 0.675 0.913 0.537
141 O 0.701 0.152 0.274
142 O 0.701 0.348 0.774
143 O 0.707 0.515 0.918
144 O 0.707 0.985 0.418
145 O 0.757 0.081 0.656
146 O 0.757 0.419 0.156
147 O 0.757 0.685 0.646
148 O 0.757 0.815 0.146
149 O 0.786 0.222 0.878
150 O 0.786 0.278 0.378
151 O 0.821 0.033 0.971
152 O 0.821 0.467 0.471
153 O 0.866 0.089 0.787
154 O 0.866 0.411 0.287
155 O 0.936 0.560 0.386
156 O 0.936 0.940 0.886
157 O 0.940 0.729 0.294
158 O 0.940 0.771 0.794
159 O 0.958 0.107 0.321
160 O 0.958 0.393 0.821
161 O 0.974 0.715 0.553
162 O 0.974 0.785 0.053
163 O 0.982 0.111 0.564
164 O 0.982 0.389 0.064

No. 4
Entry from the Materials Project: an optimized crystal structure of W3NO9 (PBE+U).

Space group = P6_3/mcm
ΔE_f = -1.61 eV per atom

Lattice parameters (Å, degrees): 7.522 7.522 7.709 90.00 90.00 120.00
Atoms (fractional coordinates):
1 W 0.000 0.482 0.250
2 W 0.000 0.518 0.750
3 W 0.482 0.000 0.250
4 W 0.482 0.482 0.750
5 W 0.518 0.000 0.750
6 W 0.518 0.518 0.250
7 N 0.000 0.000 0.000
8 N 0.000 0.000 0.500
9 O 0.000 0.500 0.000
10 O 0.000 0.500 0.500
11 O 0.210 0.426 0.750
12 O 0.210 0.784 0.250
13 O 0.216 0.426 0.250
14 O 0.216 0.790 0.750
15 O 0.426 0.210 0.750
16 O 0.426 0.216 0.250
17 O 0.500 0.000 0.000
18 O 0.500 0.000 0.500
19 O 0.500 0.500 0.000
20 O 0.500 0.500 0.500
21 O 0.574 0.784 0.750
22 O 0.574 0.790 0.250
23 O 0.784 0.210 0.250
24 O 0.784 0.574 0.750
25 O 0.790 0.216 0.750
26 O 0.790 0.574 0.250